## P
A relaxed LiFeP3O9 crystal, computed with PBE+U.

Structure (POSCAR):
```
LiFeP3O9
1.0
6.806 0.000 0.000
0.656 7.043 0.000
1.641 0.619 7.196
O P Fe Li
18 6 2 2
Cartesian
3.472 2.667 4.351 O
2.031 6.150 0.536 O
2.608 1.274 2.446 O
4.166 2.213 6.778 O
4.937 5.450 0.418 O
6.495 6.389 4.749 O
1.077 3.870 1.250 O
4.140 4.622 5.787 O
3.289 4.731 2.238 O
7.073 1.513 6.660 O
5.631 4.995 2.845 O
8.026 3.792 5.946 O
7.863 1.919 4.249 O
3.496 7.255 4.804 O
5.607 0.407 2.392 O
4.964 3.040 1.409 O
5.814 2.932 4.958 O
1.240 5.744 2.947 O
4.357 3.159 5.596 P
2.548 1.410 3.950 P
1.861 5.085 1.604 P
4.746 4.503 1.600 P
6.555 6.253 3.245 P
7.243 2.578 5.592 P
4.159 1.123 1.089 Fe
4.944 6.539 6.107 Fe
8.224 5.646 6.261 Li
0.879 2.017 0.935 Li
```

Results
Space group: P-1, No. 2



## Q
A relaxed LiFeP3O9 crystal, computed with PBE+U.

Structure (POSCAR):
```
LiFeP3O9
1.0
6.589 0.000 0.000
0.250 6.821 0.000
0.442 1.221 7.275
Fe O P Li
2 18 6 2
Cartesian
1.228 0.678 1.023 Fe
6.054 7.365 6.251 Fe
3.231 0.665 1.357 O
4.289 3.640 6.127 O
5.670 0.840 0.576 O
4.796 4.968 2.817 O
2.992 4.403 1.147 O
5.481 4.434 0.391 O
4.666 2.689 2.034 O
4.050 7.378 5.918 O
2.616 5.354 5.240 O
1.088 2.271 2.530 O
1.612 7.203 6.698 O
1.800 3.609 6.884 O
6.666 2.314 4.931 O
2.486 3.075 4.458 O
5.133 0.568 3.037 O
2.149 7.475 4.238 O
0.615 5.728 2.343 O
6.193 5.771 4.745 O
2.864 3.865 5.828 P
2.672 6.876 5.646 P
4.609 1.166 1.629 P
6.018 5.918 3.254 P
4.418 4.177 1.447 P
1.264 2.125 4.021 P
1.158 3.989 1.344 Li
6.124 4.054 5.930 Li
```

Results
Space group: P-1, No. 2



## R
A relaxed LiFeP3O9 crystal, computed with PBE+U.

Structure (POSCAR):
```
LiFeP3O9
1.0
7.312 0.000 0.000
0.000 9.154 0.000
0.000 0.000 12.235
P O Li Fe
12 36 4 4
Cartesian
5.484 2.827 11.714 P
0.330 6.885 10.415 P
1.828 6.327 0.521 P
3.986 2.269 1.820 P
3.325 2.308 7.938 P
5.484 7.403 6.638 P
6.981 6.846 4.297 P
6.981 2.269 1.820 P
0.330 2.308 7.938 P
3.986 6.846 4.297 P
1.828 1.750 5.597 P
3.325 6.885 10.415 P
6.874 8.133 10.801 O
1.828 3.244 5.339 O
7.115 5.991 9.346 O
5.484 1.333 11.457 O
1.828 0.786 4.483 O
3.218 5.598 4.684 O
1.828 7.820 0.778 O
3.459 3.163 2.889 O
1.828 7.371 10.013 O
0.437 5.598 4.684 O
5.484 3.791 10.600 O
7.115 1.414 9.007 O
3.852 5.991 9.346 O
4.093 8.133 10.801 O
0.585 1.430 6.598 O
1.828 2.794 8.339 O
4.093 3.556 7.551 O
3.459 7.740 3.228 O
0.197 3.163 2.889 O
4.241 3.147 0.481 O
3.071 1.430 6.598 O
1.828 5.362 1.635 O
0.437 1.021 1.434 O
0.585 6.007 11.754 O
3.852 1.414 9.007 O
3.218 1.021 1.434 O
5.484 5.910 6.896 O
5.484 6.360 3.896 O
4.241 7.724 5.637 O
3.071 6.007 11.754 O
5.484 8.368 7.752 O
5.484 1.783 2.222 O
6.874 3.556 7.551 O
0.197 7.740 3.228 O
6.726 7.724 5.637 O
6.726 3.147 0.481 O
5.484 8.720 12.206 Li
1.828 0.433 0.029 Li
1.828 5.010 6.089 Li
5.484 4.143 6.146 Li
5.484 4.837 8.775 Fe
1.828 8.893 2.658 Fe
5.484 0.261 9.577 Fe
1.828 4.316 3.460 Fe
```

Results
Space group: Pnma, No. 62



## S
A relaxed LiFeP3O9 crystal, computed with PBE+U.

Structure (POSCAR):
```
LiFeP3O9
1.0
9.710 0.000 0.000
-3.137 8.987 0.000
-2.425 -4.077 8.191
O Li P Fe
36 4 12 4
Cartesian
-0.047 0.444 1.641 O
2.027 -1.199 6.924 O
4.726 4.953 0.241 O
-0.506 7.476 1.735 O
-0.464 3.097 4.674 O
7.321 1.086 0.767 O
3.081 7.047 3.656 O
1.067 -2.137 4.535 O
-2.464 1.596 8.188 O
2.121 6.109 1.267 O
4.654 -2.565 6.456 O
5.781 5.891 3.029 O
-0.445 2.314 6.959 O
4.195 4.467 6.550 O
7.513 0.164 2.980 O
-1.808 4.625 3.296 O
6.612 3.315 0.003 O
-0.578 -0.043 7.950 O
4.593 2.596 1.232 O
0.710 0.888 5.171 O
-3.173 3.825 7.424 O
4.778 7.640 0.950 O
3.438 4.023 3.020 O
4.612 1.814 3.517 O
5.956 0.286 4.895 O
2.425 1.760 2.224 O
-3.148 -1.453 7.792 O
3.626 -0.471 4.120 O
-3.365 4.746 5.211 O
7.296 6.364 0.399 O
0.522 5.382 4.071 O
3.954 1.335 5.930 O
0.195 3.576 2.261 O
1.724 3.150 5.967 O
-1.633 -0.981 5.162 O
-0.630 -2.729 7.241 O
1.124 6.965 2.850 Li
2.339 5.002 5.278 Li
3.024 -2.055 5.341 Li
1.810 -0.092 2.913 Li
3.636 2.619 2.527 P
-1.017 6.879 0.458 P
4.411 0.697 4.668 P
0.512 2.292 5.664 P
2.606 -0.584 8.176 P
8.219 0.016 1.547 P
1.542 5.495 0.015 P
-2.821 5.654 3.995 P
5.166 -1.968 7.733 P
-0.263 4.214 3.523 P
6.970 -0.743 4.196 P
-4.071 4.895 6.644 P
4.041 5.869 2.056 Fe
0.107 -0.958 6.135 Fe
3.276 2.622 7.371 Fe
0.872 2.288 0.820 Fe
```

Results
Space group: P-1, No. 2



Ranked by calculated energy, most stable first: S, Q, R, P.